(1)
Entry from the Materials Project database: a relaxed Mn3CuSe4O12 crystal (PBE+U).

Cell and atoms, written as POSCAR:
```
Mn3CuSe4O12
1.0
5.241 0.000 0.000
0.174 6.137 0.000
0.115 0.038 7.878
Mn Cu Se O
3 1 4 12
Cartesian
0.000 0.000 0.000
0.057 0.019 3.939
2.708 3.068 0.000
2.765 3.087 3.939
0.159 2.895 2.019
2.735 5.936 2.010
2.795 0.239 5.867
5.371 3.279 5.859
0.717 1.888 3.310
0.740 1.950 0.652
1.079 0.521 5.922
1.881 3.557 5.865
2.086 5.021 0.660
2.173 4.933 3.354
3.357 1.242 4.524
3.444 1.154 7.218
3.649 2.618 2.012
4.451 5.654 1.956
4.790 4.224 7.225
4.813 4.287 4.567
```

Output
Formation enthalpy at 0 K (eV/atom): -1.48
Size of the total moment (μB/cell): 14.00



(2)
Entry from the Materials Project database: a relaxed Mn9Fe4O24 crystal (PBE+U).

Cell and atoms, written as POSCAR:
```
Mn9Fe4O24
1.0
12.807 -2.955 0.000
12.807 2.955 0.000
-1.332 0.000 5.744
Mn Fe O
9 4 24
Cartesian
0.000 0.000 0.000
24.947 0.000 2.862
9.812 1.480 3.843
14.493 1.493 1.917
7.417 0.000 4.852
16.806 0.000 0.942
16.136 0.000 3.825
9.812 -1.480 3.843
14.493 -1.493 1.917
6.387 1.404 0.001
8.110 0.000 1.855
6.387 -1.404 0.001
19.535 0.000 3.128
1.258 0.000 3.130
1.843 0.000 0.641
7.851 1.401 3.420
8.400 1.326 0.378
11.676 1.673 4.279
12.604 1.676 1.462
6.195 0.000 1.348
5.580 0.000 4.433
9.367 0.000 5.024
9.978 0.000 2.623
16.366 1.302 2.354
15.933 1.253 5.275
8.400 -1.326 0.378
7.851 -1.401 3.420
14.900 0.000 0.697
14.320 0.000 3.192
18.777 0.000 1.368
18.069 0.000 4.330
11.676 -1.673 4.279
12.604 -1.676 1.462
16.366 -1.302 2.354
15.933 -1.253 5.275
23.021 0.000 2.616
22.451 0.000 5.108
```

Output
Formation enthalpy at 0 K (eV/atom): -1.70
Size of the total moment (μB/cell): 47.00



(3)
Entry from the Materials Project database: a relaxed V2ZnO4 crystal (PBE+U).

Cell and atoms, written as POSCAR:
```
V2ZnO4
1.0
2.984 0.000 0.000
0.000 9.802 0.000
0.000 0.000 9.978
V Zn O
8 4 16
Cartesian
0.677 1.159 0.719
0.677 1.159 4.270
0.677 3.742 5.708
0.677 3.742 9.259
2.307 6.060 0.719
2.307 6.060 4.270
2.307 8.643 5.708
2.307 8.643 9.259
0.973 6.271 7.484
0.973 8.432 2.495
2.011 1.370 7.484
2.011 3.531 2.495
0.526 2.105 2.495
0.526 2.795 7.484
0.765 0.191 6.107
0.765 0.191 8.860
0.765 4.710 1.118
0.765 4.710 3.871
0.895 7.351 0.000
0.895 7.351 4.989
2.088 2.450 0.000
2.088 2.450 4.989
2.218 5.092 6.107
2.218 5.092 8.860
2.218 9.611 1.118
2.218 9.611 3.871
2.458 7.006 2.495
2.458 7.696 7.484
```

Output
Formation enthalpy at 0 K (eV/atom): -2.21
Size of the total moment (μB/cell): 16.00



Among the records above, which one has the lowest size of the total moment?
Mn3CuSe4O12



Among the records above, which one has the highest size of the total moment?
Mn9Fe4O24